First-principles (PBE) data for a geometry-optimized Na4TaGa3Si3S3O24 structure, as listed in the Materials Project database.

Values from the calculation:
* uncorrected energy: -6.567 eV/atom
* symmetry: No. 1

Unit cell a=8.828 b=8.831 c=22.355 alpha=89.85 beta=89.80 gamma=60.12
Element x y z (fractional)
Na1 0.000 0.000 0.000
Na2 0.000 0.000 0.498
Na3 0.001 0.366 0.243
Na4 0.325 0.333 0.834
Na5 0.332 0.699 0.578
Na6 0.334 0.341 0.327
Na7 0.629 0.371 0.745
Na8 0.634 0.997 0.243
Na9 0.658 0.666 0.166
Na10 0.667 0.675 0.661
Na11 0.698 0.969 0.578
Na12 0.969 0.334 0.578
Ta1 0.000 0.999 0.345
Ta2 0.001 0.999 0.856
Ta3 0.666 0.667 0.013
Ga1 0.000 0.000 0.153
Ga2 0.001 0.999 0.638
Ga3 0.329 0.333 0.667
Ga4 0.333 0.334 0.488
Ga5 0.333 0.335 0.969
Ga6 0.334 0.339 0.187
Ga7 0.661 0.666 0.304
Ga8 0.666 0.667 0.519
Ga9 0.667 0.671 0.823
Si1 0.002 0.707 0.243
Si2 0.043 0.623 0.578
Si3 0.294 0.996 0.242
Si4 0.333 0.044 0.578
Si5 0.383 0.961 0.911
Si6 0.622 0.333 0.579
Si7 0.657 0.383 0.910
Si8 0.706 0.295 0.242
Si9 0.960 0.657 0.910
S1 0.003 0.292 0.744
S2 0.046 0.330 0.079
S3 0.290 0.710 0.744
S4 0.329 0.623 0.079
S5 0.379 0.663 0.412
S6 0.623 0.047 0.079
S7 0.662 0.959 0.412
S8 0.709 0.997 0.745
S9 0.958 0.379 0.412
O1 0.021 0.817 0.587
O2 0.022 0.179 0.798
O3 0.023 0.176 0.083
O4 0.034 0.803 0.303
O5 0.118 0.499 0.637
O6 0.120 0.361 0.134
O7 0.134 0.358 0.416
O8 0.150 0.497 0.921
O9 0.152 0.310 0.026
O10 0.161 0.022 0.587
O11 0.161 0.305 0.741
O12 0.162 0.037 0.302
O13 0.169 0.514 0.238
O14 0.170 0.547 0.520
O15 0.175 0.800 0.083
O16 0.178 0.801 0.798
O17 0.188 0.973 0.903
O18 0.200 0.827 0.407
O19 0.208 0.816 0.690
O20 0.209 0.959 0.185
O21 0.283 0.170 0.520
O22 0.307 0.174 0.238
O23 0.307 0.534 0.742
O24 0.308 0.540 0.025
O25 0.353 0.151 0.922
O26 0.358 0.508 0.416
O27 0.361 0.514 0.133
O28 0.385 0.119 0.637
O29 0.454 0.694 0.467
O30 0.467 0.690 0.749
O31 0.469 0.830 0.970
O32 0.486 0.643 0.359
O33 0.487 0.834 0.254
O34 0.493 0.641 0.073
O35 0.493 0.877 0.851
O36 0.496 0.354 0.921
O37 0.503 0.380 0.641
O38 0.505 0.850 0.570
O39 0.508 0.135 0.417
O40 0.518 0.121 0.134
O41 0.522 0.299 0.239
O42 0.537 0.161 0.742
O43 0.539 0.153 0.026
O44 0.544 0.285 0.522
O45 0.631 0.490 0.848
O46 0.641 0.866 0.074
O47 0.643 0.876 0.358
O48 0.644 0.506 0.571
O49 0.692 0.841 0.750
O50 0.693 0.851 0.467
O51 0.698 0.479 0.254
O52 0.700 0.471 0.968
O53 0.800 0.024 0.797
O54 0.801 0.025 0.083
O55 0.801 0.162 0.302
O56 0.815 0.974 0.690
O57 0.817 0.162 0.587
O58 0.826 0.975 0.407
O59 0.829 0.690 0.256
O60 0.829 0.702 0.970
O61 0.836 0.212 0.186
O62 0.838 0.189 0.902
O63 0.841 0.464 0.749
O64 0.849 0.645 0.570
O65 0.850 0.457 0.467
O66 0.865 0.493 0.073
O67 0.875 0.483 0.358
O68 0.878 0.627 0.851
O69 0.949 0.838 0.187
O70 0.971 0.210 0.690
O71 0.972 0.839 0.902
O72 0.974 0.199 0.407